1.
Density functional theory data (PBE) for a relaxed Er5Bi3 crystal.

symmetry	Pnma
crystal system	orthorhombic
density	10431	kg/m³
uncorrected energy	-0.1818	Ha/atom
DFT formation energy	-633	meV per atom

Unit cell a=8.261 b=9.399 c=12.000 alpha=90.00 beta=90.00 gamma=90.00
Element x y z (fractional)
1 Bi 0.592 0.250 0.521
2 Bi 0.567 0.511 0.826
3 Bi 0.567 0.989 0.826
4 Bi 0.933 0.989 0.326
5 Bi 0.067 0.011 0.674
6 Bi 0.067 0.489 0.674
7 Bi 0.092 0.750 0.979
8 Bi 0.433 0.011 0.174
9 Bi 0.433 0.489 0.174
10 Bi 0.408 0.750 0.479
11 Bi 0.908 0.250 0.021
12 Bi 0.933 0.511 0.326
13 Er 0.696 0.941 0.568
14 Er 0.526 0.250 0.994
15 Er 0.304 0.441 0.432
16 Er 0.474 0.750 0.006
17 Er 0.654 0.750 0.290
18 Er 0.823 0.250 0.769
19 Er 0.196 0.441 0.932
20 Er 0.346 0.250 0.710
21 Er 0.196 0.059 0.932
22 Er 0.323 0.750 0.731
23 Er 0.846 0.750 0.790
24 Er 0.154 0.250 0.210
25 Er 0.696 0.559 0.568
26 Er 0.804 0.559 0.068
27 Er 0.304 0.059 0.432
28 Er 0.677 0.250 0.269
29 Er 0.177 0.750 0.231
30 Er 0.026 0.750 0.506
31 Er 0.804 0.941 0.068
32 Er 0.974 0.250 0.494



2.
Density functional theory data (PBE) for a relaxed MgSn3 crystal.

symmetry	I4/mmm
crystal system	tetragonal
density	6012	kg/m³
uncorrected energy	-0.1258	Ha/atom
DFT formation energy	-15	meV per atom

Unit cell a=5.927 b=5.927 c=5.927 alpha=134.26 beta=134.26 gamma=66.68
Element x y z (fractional)
1 Sn 0.500 0.500 0.000
2 Sn 0.750 0.250 0.500
3 Sn 0.250 0.750 0.500
4 Mg 0.000 0.000 0.000



3.
Density functional theory data (PBE) for a relaxed Er4B6O15 crystal.

symmetry	C2/c
E (MP2020)	-434.1	eV per cell
crystal system	monoclinic
density	6774	kg/m³
uncorrected energy	-0.3039	Ha/atom
DFT formation energy	-3379	meV per atom

Unit cell a=6.220 b=6.220 c=18.840 alpha=83.96 beta=83.96 gamma=41.24
Element x y z (fractional)
1 O 0.495 0.088 0.549
2 O 0.543 0.289 0.430
3 O 0.535 0.336 0.197
4 O 0.994 0.751 0.479
5 O 0.912 0.505 0.951
6 O 0.664 0.465 0.303
7 O 0.088 0.495 0.049
8 O 0.751 0.994 0.979
9 O 0.440 0.923 0.138
10 O 0.289 0.543 0.930
11 O 0.160 0.812 0.121
12 O 0.049 0.315 0.796
13 O 0.812 0.160 0.621
14 O 0.249 0.006 0.021
15 O 0.869 0.131 0.750
16 O 0.923 0.440 0.638
17 O 0.457 0.711 0.570
18 O 0.685 0.951 0.704
19 O 0.505 0.912 0.451
20 O 0.336 0.535 0.697
21 O 0.077 0.560 0.362
22 O 0.131 0.869 0.250
23 O 0.560 0.077 0.862
24 O 0.951 0.685 0.204
25 O 0.315 0.049 0.296
26 O 0.711 0.457 0.070
27 O 0.840 0.188 0.879
28 O 0.188 0.840 0.379
29 O 0.465 0.664 0.803
30 O 0.006 0.249 0.521
31 B 0.979 0.360 0.026
32 B 0.609 0.197 0.913
33 B 0.204 0.660 0.194
34 B 0.340 0.796 0.306
35 B 0.660 0.204 0.694
36 B 0.803 0.391 0.587
37 B 0.021 0.640 0.974
38 B 0.391 0.803 0.087
39 B 0.197 0.609 0.413
40 B 0.360 0.979 0.526
41 B 0.640 0.021 0.474
42 B 0.796 0.340 0.806
43 Er 0.347 0.928 0.698
44 Er 0.072 0.653 0.802
45 Er 0.333 0.932 0.901
46 Er 0.068 0.667 0.599
47 Er 0.667 0.068 0.099
48 Er 0.932 0.333 0.401
49 Er 0.928 0.347 0.198
50 Er 0.653 0.072 0.302